VASP calculation (meta-GGA r2SCAN) on an optimized crystal structure of Ho5SbPt2.

Values from the calculation:
As for the symmetry: I4/mcm. The value obtained for the magnetization is 0.000 μB per atom. For the energy, the calculation gives -604.2 eV for the cell shown. Its density is 11.084 g/cm³.

Cell lengths 8.685, 8.685, 8.685 Å; angles 127.44, 127.44, 77.53 degrees
Element x y z (fractional)
Ho (0.000, 0.000, 0.000)
Ho (0.018, 0.518, 0.813)
Ho (0.205, 0.018, 0.500)
Ho (0.295, 0.795, 0.813)
Ho (0.482, 0.295, 0.500)
Ho (0.500, 0.500, 0.000)
Ho (0.518, 0.705, 0.500)
Ho (0.705, 0.205, 0.187)
Ho (0.795, 0.982, 0.500)
Ho (0.982, 0.482, 0.187)
Sb (0.250, 0.250, 0.000)
Sb (0.750, 0.750, 0.000)
Pt (0.139, 0.361, 0.500)
Pt (0.361, 0.861, 0.222)
Pt (0.639, 0.139, 0.778)
Pt (0.861, 0.639, 0.500)